Compound: LiTl4Ni4O12
Source: Materials Project
Functional: PBE+U
Structure: relaxed

For the volume, the calculation gives 237.0 Å³/cell. The total energy comes out at -96.235 eV per cell. The energy above the most stable polymorph in this dataset is 0.002 eV/atom. Its calculated density is 8.8 g/cm3.

The structure in POSCAR format:
```
LiTl4Ni4O12
1.0
-5.0494 -0.5239 -1.6949
0.5055 -5.5110 0.3554
-2.1361 0.0269 7.7120
O Li Tl Ni
12 1 4 4
Direct
0.6215 0.0478 0.7606
0.8140 0.7824 0.4506
0.1158 0.4574 0.2386
0.2796 0.7028 0.9374
0.7220 0.2917 0.4310
0.7837 0.8246 0.0752
0.3055 0.6817 0.5595
0.8805 0.5435 0.7688
0.2036 0.1999 0.5471
0.6927 0.3272 0.0571
0.1955 0.1919 0.9273
0.3870 0.9512 0.2502
0.8631 0.1093 0.9413
0.4733 0.4387 0.7668
0.9881 0.0563 0.2725
0.0416 0.9139 0.7098
0.5212 0.5567 0.2519
0.9914 0.5233 0.0062
0.0090 0.4890 0.4940
0.4716 0.9964 0.0092
0.5141 0.9976 0.5033
```